No. 1
Cs3HSe2O8 after structural relaxation. Source: the Materials Project database, functional PBE.

Calculated values
calculated formation energy	-1.66	eV/atom
total energy after the MP2020 corrections	-5.4256	eV/atom
calculated volume	292.2	Å³ per cell
crystal system	monoclinic

a b c (Å): 6.453 6.453 8.672
angles (deg): 71.17 71.17 60.77
Fractional coordinates of all 14 atoms:
Cs 0.999 0.999 0.005
Cs 0.803 0.803 0.608
Cs 0.198 0.198 0.389
H 0.481 0.481 0.997
Se 0.573 0.573 0.232
Se 0.429 0.429 0.762
O 0.603 0.603 0.023
O 0.390 0.390 0.980
O 0.727 0.302 0.693
O 0.302 0.727 0.693
O 0.275 0.697 0.311
O 0.697 0.275 0.311
O 0.712 0.712 0.262
O 0.287 0.287 0.742

No. 2
LaMg6Ti after structural relaxation. Source: the Materials Project database, functional PBE.

Calculated values
calculated formation energy	0.14	eV/atom
calculated volume	393.3	Å³ per cell

a b c (Å): 5.243 6.445 11.640
angles (deg): 90.00 90.00 90.00
Fractional coordinates of all 16 atoms:
La 0.500 0.500 0.168
La 0.500 0.000 0.668
Mg 0.500 0.253 0.419
Mg 0.500 0.747 0.419
Mg 0.000 0.766 0.083
Mg 0.000 0.234 0.083
Mg 0.000 0.000 0.325
Mg 0.000 0.500 0.340
Mg 0.500 0.753 0.919
Mg 0.500 0.247 0.919
Mg 0.000 0.266 0.583
Mg 0.000 0.734 0.583
Mg 0.000 0.500 0.825
Mg 0.000 0.000 0.840
Ti 0.500 0.000 0.163
Ti 0.500 0.500 0.663

No. 3
Mo3Ru3C2 after structural relaxation. Source: the Materials Project database, functional PBE.

Calculated values
calculated formation energy	0.16	eV/atom
calculated volume	101.8	Å³ per cell
crystal system	trigonal

a b c (Å): 2.909 2.909 13.883
angles (deg): 90.00 90.00 120.00
Fractional coordinates of all 8 atoms:
Mo 0.000 0.000 0.979
Mo 0.667 0.333 0.167
Mo 0.333 0.667 0.355
Ru 0.000 0.000 0.513
Ru 0.667 0.333 0.667
Ru 0.333 0.667 0.821
C 0.333 0.667 0.068
C 0.000 0.000 0.265

No. 4
AgCO2 after structural relaxation. Source: the Materials Project database, functional PBE.

Calculated values
calculated formation energy	-1.08	eV/atom
total energy after the MP2020 corrections	-6.5726	eV/atom
calculated volume	215.7	Å³ per cell
crystal system	monoclinic

a b c (Å): 7.039 3.250 9.546
angles (deg): 80.99 90.00 90.00
Fractional coordinates of all 16 atoms:
Ag 0.501 0.954 0.850
Ag 0.999 0.954 0.350
Ag 0.499 0.046 0.150
Ag 0.001 0.046 0.650
C 0.389 0.986 0.499
C 0.111 0.986 0.999
C 0.611 0.014 0.501
C 0.889 0.014 0.001
O 0.192 0.868 0.117
O 0.808 0.132 0.883
O 0.310 0.083 0.379
O 0.308 0.868 0.617
O 0.190 0.083 0.879
O 0.692 0.132 0.383
O 0.810 0.917 0.121
O 0.690 0.917 0.621

No. 5
Cs2CdI4 after structural relaxation. Source: the Materials Project database, functional PBE.

Calculated values
calculated formation energy	-1.40	eV/atom
total energy after the MP2020 corrections	-2.6537	eV/atom
calculated volume	745.0	Å³ per cell
crystal system	monoclinic

a b c (Å): 8.683 8.104 11.371
angles (deg): 68.59 90.00 90.00
Fractional coordinates of all 14 atoms:
Cs 0.750 0.718 0.592
Cs 0.250 0.282 0.408
Cs 0.750 0.159 0.033
Cs 0.250 0.841 0.967
Cd 0.250 0.409 0.777
Cd 0.750 0.591 0.223
I 0.991 0.247 0.715
I 0.491 0.753 0.285
I 0.009 0.753 0.285
I 0.509 0.247 0.715
I 0.750 0.686 0.956
I 0.250 0.314 0.044
I 0.750 0.223 0.355
I 0.250 0.777 0.645

No. 6
NdEr3 after structural relaxation. Source: the Materials Project database, functional PBE.

Calculated values
calculated formation energy	0.03	eV/atom
calculated volume	126.1	Å³ per cell
crystal system	cubic

a b c (Å): 5.015 5.015 5.015
angles (deg): 90.00 90.00 90.00
Fractional coordinates of all 4 atoms:
Nd 0.500 0.500 0.500
Er 0.500 0.000 0.000
Er 0.000 0.500 0.000
Er 0.000 0.000 0.500

No. 7
KAg3As2S5 after structural relaxation. Source: the Materials Project database, functional PBE.

Calculated values
calculated formation energy	-0.54	eV/atom
total energy after the MP2020 corrections	-4.1410	eV/atom
calculated volume	2164.9	Å³ per cell
crystal system	orthorhombic

a b c (Å): 6.442 17.042 19.720
angles (deg): 90.00 90.00 90.00
Fractional coordinates of all 88 atoms:
K 0.910 0.624 0.479
K 0.410 0.124 0.021
K 0.090 0.376 0.521
K 0.090 0.124 0.521
K 0.590 0.624 0.979
K 0.410 0.376 0.021
K 0.590 0.876 0.979
K 0.910 0.876 0.479
Ag 0.096 0.126 0.315
Ag 0.909 0.976 0.265
Ag 0.091 0.476 0.735
Ag 0.909 0.524 0.265
Ag 0.409 0.024 0.235
Ag 0.904 0.626 0.685
Ag 0.591 0.976 0.765
Ag 0.096 0.374 0.315
Ag 0.840 0.368 0.141
Ag 0.904 0.874 0.685
Ag 0.091 0.024 0.735
Ag 0.160 0.868 0.859
Ag 0.591 0.524 0.765
Ag 0.596 0.626 0.185
Ag 0.596 0.874 0.185
Ag 0.160 0.632 0.859
Ag 0.340 0.632 0.359
Ag 0.404 0.126 0.815
Ag 0.340 0.868 0.359
Ag 0.660 0.132 0.641
Ag 0.840 0.132 0.141
Ag 0.404 0.374 0.815
Ag 0.409 0.476 0.235
Ag 0.660 0.368 0.641
As 0.596 0.750 0.787
As 0.407 0.539 0.589
As 0.904 0.750 0.287
As 0.593 0.461 0.411
As 0.593 0.039 0.411
As 0.491 0.750 0.609
As 0.407 0.961 0.589
As 0.907 0.461 0.911
As 0.991 0.250 0.891
As 0.907 0.039 0.911
As 0.096 0.250 0.713
As 0.093 0.961 0.089
As 0.509 0.250 0.391
As 0.404 0.250 0.213
As 0.093 0.539 0.089
As 0.009 0.750 0.109
S 0.746 0.992 0.606
S 0.188 0.910 0.191
S 0.312 0.910 0.691
S 0.381 0.750 0.879
S 0.746 0.508 0.606
S 0.659 0.750 0.111
S 0.619 0.250 0.121
S 0.812 0.090 0.809
S 0.076 0.846 0.026
S 0.812 0.410 0.809
S 0.924 0.346 0.974
S 0.424 0.846 0.526
S 0.688 0.090 0.309
S 0.119 0.750 0.379
S 0.795 0.643 0.814
S 0.312 0.590 0.691
S 0.205 0.143 0.186
S 0.881 0.250 0.621
S 0.254 0.008 0.394
S 0.705 0.643 0.314
S 0.341 0.250 0.889
S 0.576 0.154 0.474
S 0.841 0.750 0.611
S 0.688 0.410 0.309
S 0.076 0.654 0.026
S 0.254 0.492 0.394
S 0.246 0.008 0.894
S 0.246 0.492 0.894
S 0.188 0.590 0.191
S 0.159 0.250 0.389
S 0.295 0.357 0.686
S 0.576 0.346 0.474
S 0.705 0.857 0.314
S 0.754 0.508 0.106
S 0.295 0.143 0.686
S 0.424 0.654 0.526
S 0.924 0.154 0.974
S 0.795 0.857 0.814
S 0.205 0.357 0.186
S 0.754 0.992 0.106

No. 8
Cu4I3Br after structural relaxation. Source: the Materials Project database, functional PBE.

Calculated values
calculated formation energy	-0.02	eV/atom
total energy after the MP2020 corrections	-2.8414	eV/atom
calculated volume	181.4	Å³ per cell
crystal system	monoclinic

a b c (Å): 6.929 6.929 6.929
angles (deg): 80.37 80.37 33.63
Fractional coordinates of all 8 atoms:
Cu 0.625 0.625 0.127
Cu 0.375 0.375 0.873
Cu 0.124 0.124 0.624
Cu 0.876 0.876 0.376
I 0.249 0.249 0.253
I 0.000 0.000 0.000
I 0.751 0.751 0.747
Br 0.500 0.500 0.500

No. 9
La2Sn5Rh3 after structural relaxation. Source: the Materials Project database, functional PBE.

Calculated values
calculated formation energy	-0.73	eV/atom
calculated volume	463.8	Å³ per cell
crystal system	orthorhombic

a b c (Å): 9.123 9.123 9.123
angles (deg): 138.44 106.11 88.53
Fractional coordinates of all 20 atoms:
La 0.915 0.144 0.771
La 0.085 0.856 0.229
La 0.627 0.356 0.271
La 0.373 0.644 0.729
Sn 0.580 0.913 0.667
Sn 0.245 0.413 0.833
Sn 0.420 0.087 0.333
Sn 0.755 0.587 0.167
Sn 0.000 0.250 0.250
Sn 0.000 0.750 0.750
Sn 0.721 0.971 0.250
Sn 0.279 0.529 0.250
Sn 0.279 0.029 0.750
Sn 0.721 0.471 0.750
Rh 0.246 0.141 0.105
Rh 0.964 0.359 0.605
Rh 0.036 0.641 0.395
Rh 0.754 0.859 0.895
Rh 0.500 0.250 0.750
Rh 0.500 0.750 0.250